Record 1
! Dy2PdPt (PBE, optimized geometry); values from VASP
! **DFT total energy**: -24.9 eV/f.u.
! **ΔH_f (0 K)**: -1115 meV/atom
! **SG**: Pmc2_1, No. 26
&SYSTEM
  ibrav = 0, nat = 8, ntyp = 3
/
ATOMIC_SPECIES
Dy 162.50 Dy.upf
Pd 106.42 Pd.upf
Pt 195.08 Pt.upf
ATOMIC_POSITIONS angstrom
Dy 0.000 0.594 4.753
Dy 0.000 4.962 1.268
Dy 2.289 2.144 2.219
Dy 2.289 3.413 5.704
Pd 0.000 3.306 3.793
Pd 0.000 2.251 0.308
Pt 2.289 4.995 3.175
Pt 2.289 0.562 6.659
CELL_PARAMETERS angstrom
4.577 0.000 0.000
0.000 5.557 0.000
0.000 0.000 6.970

=====

Record 2
! CaHo2CuSi4O12 (PBE, optimized geometry); values from VASP
! **DFT total energy**: -150.0 eV/f.u.
! **ΔH_f (0 K)**: -3097 meV/atom
! **SG**: P-1, No. 2
&SYSTEM
  ibrav = 0, nat = 20, ntyp = 5
/
ATOMIC_SPECIES
Ca 40.08 Ca.upf
Ho 164.93 Ho.upf
Cu 63.55 Cu.upf
Si 28.09 Si.upf
O 16.00 O.upf
ATOMIC_POSITIONS angstrom
Ca 2.606 -0.032 0.219
Ho 1.145 5.305 5.976
Ho 5.475 1.509 5.710
Cu 0.000 0.000 0.000
Si 3.869 3.805 3.961
Si 2.751 3.010 7.724
Si 2.490 1.330 2.710
Si 4.130 5.484 8.975
O 2.793 4.896 4.521
O 3.827 1.918 7.164
O 2.277 2.167 1.263
O 4.344 4.647 10.422
O 1.463 3.147 6.737
O 5.157 3.667 4.948
O 3.123 6.713 9.352
O 3.497 0.101 2.333
O 3.206 2.305 3.828
O 3.414 4.509 7.857
O 1.049 0.803 3.251
O 5.571 6.011 8.434
CELL_PARAMETERS angstrom
5.212 -0.064 0.438
1.397 6.626 3.282
0.011 0.252 7.965

=====

Record 3
! Ba2TbMgSbO6 (PBE, optimized geometry); values from VASP
! **DFT total energy**: -67.8 eV/f.u.
! **ΔH_f (0 K)**: -2545 meV/atom
! **SG**: Immm, No. 71
&SYSTEM
  ibrav = 0, nat = 11, ntyp = 5
/
ATOMIC_SPECIES
Ba 137.33 Ba.upf
Tb 158.93 Tb.upf
Mg 24.30 Mg.upf
Sb 121.76 Sb.upf
O 16.00 O.upf
ATOMIC_POSITIONS angstrom
Ba 8.681 -7.408 4.800
Ba 2.278 -2.636 1.193
Tb 0.000 0.000 0.000
Mg 4.760 -1.965 2.833
Sb 5.479 -5.022 2.997
O 6.630 -6.542 1.877
O 3.401 -5.584 1.623
O 7.558 -4.460 4.370
O 5.861 -3.270 1.703
O 4.328 -3.502 4.116
O 5.098 -6.774 4.291
CELL_PARAMETERS angstrom
3.111 -2.214 5.430
1.439 -6.115 0.326
6.409 -1.715 0.237

=====

Record 4
! Ag3Pd13Pb6 (PBE, optimized geometry); values from VASP
! **DFT total energy**: -102.5 eV/f.u.
! **ΔH_f (0 K)**: -199 meV/atom
! **SG**: P3_121, No. 152
&SYSTEM
  ibrav = 0, nat = 66, ntyp = 3
/
ATOMIC_SPECIES
Ag 107.87 Ag.upf
Pd 106.42 Pd.upf
Pb 207.20 Pb.upf
ATOMIC_POSITIONS angstrom
Ag -6.861 -2.044 -1.189
Ag -4.432 -11.352 -1.483
Ag -0.706 -0.039 -4.594
Ag -5.696 -8.270 -1.355
Ag -9.555 -13.106 -5.661
Ag -5.609 -5.127 -1.395
Ag 1.012 -6.657 -4.393
Ag -3.233 -0.374 -6.743
Ag -12.916 -6.773 -2.251
Pd -7.098 -10.788 -1.148
Pd -0.804 -1.832 -6.672
Pd -4.216 -2.609 -1.662
Pd -1.015 -8.715 -4.465
Pd -11.855 -11.640 -4.889
Pd -11.008 -4.721 -2.963
Pd -12.140 -8.743 -0.301
Pd 0.853 -4.653 -2.334
Pd -6.019 -6.719 -3.757
Pd -11.170 -11.671 -0.641
Pd -7.451 -0.294 -3.303
Pd -0.181 -1.729 -2.415
Pd -8.518 -7.081 -5.560
Pd -4.499 -13.138 -3.646
Pd -4.177 -6.393 -6.233
Pd -8.951 -11.054 1.398
Pd -1.684 -2.305 0.206
Pd -6.670 -6.755 -7.997
Pd -10.470 -6.493 -0.652
Pd -4.103 2.392 -6.282
Pd -0.840 -6.904 -2.129
Pd -4.272 -4.506 -3.934
Pd -8.581 -15.866 -5.437
Pd -7.732 -8.930 -3.364
Pd -4.826 -9.623 -3.695
Pd -8.549 -13.931 -3.137
Pd -7.144 -3.811 -3.389
Pd -1.378 -5.127 -4.492
Pd -3.437 0.496 -4.047
Pd -10.662 -8.311 -3.037
Pd -6.122 -13.630 -1.319
Pd -2.404 -2.276 -4.162
Pd -5.205 0.232 -1.579
Pd -3.346 -9.149 -6.317
Pd -9.576 -11.158 -2.984
Pd -9.342 -4.325 -5.437
Pd -3.565 -4.433 0.567
Pd -7.054 -8.926 1.142
Pd -1.380 -0.077 -8.975
Pb -8.630 -6.217 -2.869
Pb -12.699 -10.285 -2.575
Pb -3.260 -7.213 -3.686
Pb -5.197 -1.773 -4.160
Pb 0.699 -3.151 -4.696
Pb -6.910 -11.668 -3.812
Pb -8.723 -13.067 -0.460
Pb -2.900 -3.797 -6.455
Pb -2.465 -0.324 -1.532
Pb -2.585 -11.132 -4.498
Pb -9.795 -9.677 -5.345
Pb -9.527 -2.310 -3.507
Pb -9.321 -9.242 -0.790
Pb -5.657 2.139 -3.749
Pb -1.983 -4.155 -1.961
Pb -6.497 -4.814 -5.897
Pb -6.338 -15.574 -3.492
Pb -6.200 -8.660 -5.909
CELL_PARAMETERS angstrom
-6.778 4.913 -3.613
5.393 -4.991 -5.399
-10.613 -13.358 1.746

=====

Record 5
! GaH4NF4 (PBE, optimized geometry); values from VASP
! **DFT total energy**: -48.4 eV/f.u.
! **ΔH_f (0 K)**: -1766 meV/atom
! **SG**: I4/mcm, No. 140
&SYSTEM
  ibrav = 0, nat = 20, ntyp = 4
/
ATOMIC_SPECIES
Ga 69.72 Ga.upf
H 1.01 H.upf
N 14.01 N.upf
F 19.00 F.upf
ATOMIC_POSITIONS angstrom
Ga 0.000 0.000 6.496
Ga 0.000 0.000 0.000
H -0.589 3.273 2.643
H 3.273 -0.589 3.853
H 2.095 0.589 3.853
H -0.589 2.095 3.853
H 0.589 3.273 3.853
H 2.095 -0.589 2.643
H 3.273 0.589 2.643
H 0.589 2.095 2.643
N 0.000 2.684 3.248
N 2.684 0.000 3.248
F 3.707 1.022 0.000
F 0.000 0.000 11.127
F 0.000 0.000 4.631
F 0.000 0.000 1.866
F 1.022 1.662 0.000
F 1.662 1.022 6.496
F -1.022 1.662 6.496
F 0.000 0.000 8.362
CELL_PARAMETERS angstrom
-2.684 2.684 6.496
2.684 -2.684 6.496
2.684 2.684 -6.496

=====

Record 6
! Ba2TlSb2O7 (PBE, optimized geometry); values from VASP
! **DFT total energy**: -67.9 eV/f.u.
! **ΔH_f (0 K)**: -1965 meV/atom
! **SG**: P4/mmm, No. 123
&SYSTEM
  ibrav = 0, nat = 12, ntyp = 4
/
ATOMIC_SPECIES
Ba 137.33 Ba.upf
Tl 204.38 Tl.upf
Sb 121.76 Sb.upf
O 16.00 O.upf
ATOMIC_POSITIONS angstrom
Ba 7.343 -0.712 6.382
Ba 2.626 -0.223 4.249
Tl 6.120 -0.634 2.767
Sb 10.875 -1.127 4.916
Sb 1.364 -0.141 0.617
O 4.985 -0.467 5.315
O 9.697 -2.385 6.007
O 10.006 0.392 5.962
O 1.099 -1.494 2.120
O 1.407 1.284 2.075
O 8.034 -0.833 3.632
O 4.206 -0.436 1.901
CELL_PARAMETERS angstrom
-0.827 2.945 2.504
-1.443 -2.611 2.594
12.240 -1.269 5.533

=====

Record 7
! MgTiBO4 (PBE, optimized geometry); values from VASP
! **DFT total energy**: -54.7 eV/f.u.
! **ΔH_f (0 K)**: -3065 meV/atom
! **SG**: Pmc2_1, No. 26
&SYSTEM
  ibrav = 0, nat = 28, ntyp = 4
/
ATOMIC_SPECIES
Mg 24.30 Mg.upf
Ti 47.87 Ti.upf
B 10.81 B.upf
O 16.00 O.upf
ATOMIC_POSITIONS angstrom
Mg 0.000 5.694 4.199
Mg 0.000 0.967 5.312
Mg 0.000 5.890 7.762
Mg 0.000 1.163 1.749
Ti 1.564 3.779 0.539
Ti 1.564 8.506 8.972
Ti 1.564 3.668 6.471
Ti 1.564 8.394 3.040
B 0.000 6.339 1.212
B 0.000 1.613 8.299
B 1.564 3.158 3.561
B 1.564 7.885 5.950
O 0.000 4.959 1.132
O 0.000 0.232 8.379
O 1.564 4.513 3.628
O 1.564 9.240 5.883
O 0.000 4.787 6.025
O 0.000 0.061 3.486
O 1.564 4.489 8.264
O 1.564 9.215 1.247
O 0.000 7.047 0.009
O 0.000 2.320 9.502
O 1.564 2.397 4.746
O 1.564 7.124 4.765
O 0.000 6.953 2.445
O 0.000 2.227 7.066
O 1.564 2.498 2.308
O 1.564 7.225 7.203
CELL_PARAMETERS angstrom
3.128 0.000 0.000
0.000 9.453 0.000
0.000 0.000 9.511

=====

Record 8
! NdMn2Ge2 (PBE, optimized geometry); values from VASP
! **DFT total energy**: -34.7 eV/f.u.
! **ΔH_f (0 K)**: -467 meV/atom
! **SG**: I4/mmm, No. 139
&SYSTEM
  ibrav = 0, nat = 5, ntyp = 3
/
ATOMIC_SPECIES
Nd 144.24 Nd.upf
Mn 54.94 Mn.upf
Ge 72.64 Ge.upf
ATOMIC_POSITIONS angstrom
Nd 0.000 0.000 0.000
Mn 0.000 2.009 2.756
Mn 2.009 0.000 2.756
Ge 0.000 0.000 6.872
Ge 0.000 0.000 4.151
CELL_PARAMETERS angstrom
-2.009 2.009 5.512
2.009 -2.009 5.512
2.009 2.009 -5.512